Record 1
Density functional theory data (GGA-PBE) for Mg2Si3 after structural relaxation.

The structure in CIF format:
```
data_Mg2Si3
_chemical_formula_sum 'Mg16 Si24'
_space_group_name_H-M_alt 'C 1 m 1'
_space_group_IT_number 8
_cell_length_a 9.765
_cell_length_b 3.871
_cell_length_c 19.808
_cell_angle_alpha 90.00
_cell_angle_beta 99.90
_cell_angle_gamma 90.00
loop_
_space_group_symop_operation_xyz
'x,y,z'
'x,-y,z'
'x+1/2,y+1/2,z'
'x+1/2,-y+1/2,z'
loop_
_atom_site_label
_atom_site_fract_x
_atom_site_fract_y
_atom_site_fract_z
_atom_site_occupancy
Mg1 0.000 0.000 0.000 1
Mg2 0.010 0.000 0.501 1
Mg3 0.184 0.500 0.395 1
Mg4 0.252 0.000 0.262 1
Mg5 0.269 0.000 0.916 1
Mg6 0.356 0.000 0.772 1
Mg7 0.422 0.500 0.160 1
Mg8 0.448 0.000 0.627 1
Si1 0.041 0.500 0.260 1
Si2 0.051 0.500 0.910 1
Si3 0.052 0.000 0.742 1
Si4 0.127 0.500 0.153 1
Si5 0.162 0.500 0.811 1
Si6 0.169 0.000 0.645 1
Si7 0.215 0.500 0.573 1
Si8 0.229 0.000 0.095 1
Si9 0.233 0.500 0.015 1
Si10 0.293 0.000 0.498 1
Si11 0.399 0.000 0.398 1
Si12 0.468 0.500 0.328 1
```

Energy of formation from the pure elements: 0.158 eV/atom

Record 2
Density functional theory data (GGA-PBE) for Mg3Si4 after structural relaxation.

The structure in CIF format:
```
data_Mg3Si4
_chemical_formula_sum 'Mg6 Si8'
_space_group_name_H-M_alt 'P 1'
_space_group_IT_number 1
_cell_length_a 5.166
_cell_length_b 7.437
_cell_length_c 7.750
_cell_angle_alpha 110.78
_cell_angle_beta 90.98
_cell_angle_gamma 90.04
loop_
_space_group_symop_operation_xyz
'x,y,z'
loop_
_atom_site_label
_atom_site_fract_x
_atom_site_fract_y
_atom_site_fract_z
_atom_site_occupancy
Mg1 0.000 0.000 0.000 1
Mg2 0.013 0.572 0.664 1
Mg3 0.247 0.443 0.241 1
Mg4 0.497 0.281 0.614 1
Mg5 0.518 0.703 0.952 1
Mg6 0.753 0.823 0.373 1
Si1 0.019 0.130 0.622 1
Si2 0.026 0.648 0.052 1
Si3 0.325 0.936 0.707 1
Si4 0.509 0.075 0.238 1
Si5 0.516 0.633 0.564 1
Si6 0.521 0.161 0.972 1
Si7 0.854 0.337 0.903 1
Si8 0.935 0.220 0.362 1
```

Energy of formation from the pure elements: 0.134 eV/atom

Record 3
Density functional theory data (GGA-PBE) for Mg4Si7 after structural relaxation.

The structure in CIF format:
```
data_Mg4Si7
_chemical_formula_sum 'Mg8 Si14'
_space_group_name_H-M_alt 'P -1'
_space_group_IT_number 2
_cell_length_a 3.915
_cell_length_b 7.168
_cell_length_c 14.171
_cell_angle_alpha 80.85
_cell_angle_beta 89.37
_cell_angle_gamma 87.12
loop_
_space_group_symop_operation_xyz
'x,y,z'
'-x,-y,-z'
loop_
_atom_site_label
_atom_site_fract_x
_atom_site_fract_y
_atom_site_fract_z
_atom_site_occupancy
Mg1 0.000 0.000 0.000 1
Mg2 0.004 0.737 0.340 1
Mg3 0.006 0.787 0.579 1
Mg4 0.469 0.201 0.846 1
Mg5 0.500 0.500 0.500 1
Si1 0.006 0.437 0.203 1
Si2 0.013 0.903 0.815 1
Si3 0.084 0.614 0.047 1
Si4 0.443 0.253 0.050 1
Si5 0.485 0.088 0.291 1
Si6 0.494 0.451 0.305 1
Si7 0.499 0.891 0.443 1
```

Energy of formation from the pure elements: 0.172 eV/atom

Record 4
Density functional theory data (GGA-PBE) for Mg2Si3 after structural relaxation.

The structure in CIF format:
```
data_Mg2Si3
_chemical_formula_sum 'Mg8 Si12'
_space_group_name_H-M_alt 'P 1'
_space_group_IT_number 1
_cell_length_a 3.860
_cell_length_b 6.230
_cell_length_c 17.453
_cell_angle_alpha 82.58
_cell_angle_beta 86.60
_cell_angle_gamma 72.36
loop_
_space_group_symop_operation_xyz
'x,y,z'
loop_
_atom_site_label
_atom_site_fract_x
_atom_site_fract_y
_atom_site_fract_z
_atom_site_occupancy
Mg1 0.000 0.000 0.000 1
Mg2 0.039 0.143 0.657 1
Mg3 0.213 0.675 0.838 1
Mg4 0.327 0.778 0.336 1
Mg5 0.413 0.716 0.159 1
Mg6 0.516 0.284 0.511 1
Mg7 0.601 0.227 0.341 1
Mg8 0.925 0.216 0.824 1
Si1 0.164 0.148 0.227 1
Si2 0.213 0.883 0.536 1
Si3 0.350 0.549 0.628 1
Si4 0.376 0.278 0.933 1
Si5 0.524 0.414 0.051 1
Si6 0.604 0.941 0.760 1
Si7 0.718 0.090 0.147 1
Si8 0.750 0.857 0.453 1
Si9 0.814 0.577 0.710 1
Si10 0.951 0.586 0.993 1
Si11 0.952 0.485 0.408 1
Si12 0.975 0.526 0.265 1
```

Energy of formation from the pure elements: 0.136 eV/atom

Record 5
Density functional theory data (GGA-PBE) for Mg4Si3 after structural relaxation.

The structure in CIF format:
```
data_Mg4Si3
_chemical_formula_sum 'Mg8 Si6'
_space_group_name_H-M_alt 'P 1'
_space_group_IT_number 1
_cell_length_a 5.995
_cell_length_b 7.217
_cell_length_c 7.581
_cell_angle_alpha 108.92
_cell_angle_beta 109.83
_cell_angle_gamma 103.93
loop_
_space_group_symop_operation_xyz
'x,y,z'
loop_
_atom_site_label
_atom_site_fract_x
_atom_site_fract_y
_atom_site_fract_z
_atom_site_occupancy
Mg1 0.000 0.000 0.000 1
Mg2 0.057 0.440 0.321 1
Mg3 0.186 0.294 0.687 1
Mg4 0.298 0.735 0.084 1
Mg5 0.505 0.078 0.921 1
Mg6 0.603 0.314 0.492 1
Mg7 0.668 0.865 0.528 1
Mg8 0.735 0.608 0.049 1
Si1 0.053 0.709 0.676 1
Si2 0.149 0.899 0.441 1
Si3 0.375 0.389 0.126 1
Si4 0.460 0.662 0.715 1
Si5 0.815 0.037 0.290 1
Si6 0.913 0.311 0.899 1
```

Energy of formation from the pure elements: 0.036 eV/atom

Record 6
Density functional theory data (GGA-PBE) for Mg5Si6 after structural relaxation.

The structure in CIF format:
```
data_Mg5Si6
_chemical_formula_sum 'Mg20 Si24'
_space_group_name_H-M_alt 'C 1 2/m 1'
_space_group_IT_number 12
_cell_length_a 28.967
_cell_length_b 4.158
_cell_length_c 6.839
_cell_angle_alpha 90.00
_cell_angle_beta 93.29
_cell_angle_gamma 90.00
loop_
_space_group_symop_operation_xyz
'x,y,z'
'-x,-y,-z'
'-x,y,-z'
'x,-y,z'
'x+1/2,y+1/2,z'
'-x+1/2,-y+1/2,-z'
'-x+1/2,y+1/2,-z'
'x+1/2,-y+1/2,z'
loop_
_atom_site_label
_atom_site_fract_x
_atom_site_fract_y
_atom_site_fract_z
_atom_site_occupancy
Mg1 0.043 0.000 0.324 1
Mg2 0.081 0.000 0.828 1
Mg3 0.132 0.500 0.160 1
Mg4 0.163 0.000 0.482 1
Mg5 0.202 0.000 0.987 1
Si1 0.026 0.500 0.658 1
Si2 0.042 0.500 0.023 1
Si3 0.100 0.500 0.513 1
Si4 0.154 0.500 0.786 1
Si5 0.225 0.500 0.292 1
Si6 0.230 0.500 0.658 1
```

Energy of formation from the pure elements: 0.101 eV/atom

Record 7
Density functional theory data (GGA-PBE) for Mg5Si6 after structural relaxation.

The structure in CIF format:
```
data_Mg5Si6
_chemical_formula_sum 'Mg10 Si12'
_space_group_name_H-M_alt 'P 1'
_space_group_IT_number 1
_cell_length_a 5.108
_cell_length_b 6.762
_cell_length_c 12.261
_cell_angle_alpha 83.64
_cell_angle_beta 87.46
_cell_angle_gamma 88.35
loop_
_space_group_symop_operation_xyz
'x,y,z'
loop_
_atom_site_label
_atom_site_fract_x
_atom_site_fract_y
_atom_site_fract_z
_atom_site_occupancy
Mg1 0.000 0.000 0.000 1
Mg2 0.001 0.093 0.747 1
Mg3 0.063 0.645 0.855 1
Mg4 0.379 0.403 0.304 1
Mg5 0.401 0.789 0.412 1
Mg6 0.457 0.809 0.667 1
Mg7 0.505 0.288 0.923 1
Mg8 0.530 0.910 0.166 1
Mg9 0.633 0.226 0.540 1
Mg10 0.919 0.114 0.318 1
Si1 0.049 0.762 0.238 1
Si2 0.133 0.057 0.527 1
Si3 0.142 0.437 0.528 1
Si4 0.161 0.604 0.074 1
Si5 0.202 0.256 0.128 1
Si6 0.360 0.405 0.717 1
Si7 0.578 0.909 0.868 1
Si8 0.643 0.644 0.019 1
Si9 0.716 0.315 0.121 1
Si10 0.831 0.493 0.685 1
Si11 0.837 0.531 0.371 1
Si12 0.876 0.754 0.523 1
```

Energy of formation from the pure elements: 0.171 eV/atom

Record 8
Density functional theory data (GGA-PBE) for Mg5Si6 after structural relaxation.

The structure in CIF format:
```
data_Mg5Si6
_chemical_formula_sum 'Mg10 Si12'
_space_group_name_H-M_alt 'P 1'
_space_group_IT_number 1
_cell_length_a 4.074
_cell_length_b 8.095
_cell_length_c 12.825
_cell_angle_alpha 105.36
_cell_angle_beta 99.12
_cell_angle_gamma 90.65
loop_
_space_group_symop_operation_xyz
'x,y,z'
loop_
_atom_site_label
_atom_site_fract_x
_atom_site_fract_y
_atom_site_fract_z
_atom_site_occupancy
Mg1 0.000 0.000 0.000 1
Mg2 0.005 0.581 0.007 1
Mg3 0.103 0.353 0.211 1
Mg4 0.122 0.984 0.260 1
Mg5 0.183 0.698 0.359 1
Mg6 0.285 0.013 0.575 1
Mg7 0.303 0.599 0.603 1
Mg8 0.385 0.381 0.782 1
Mg9 0.509 0.307 0.018 1
Mg10 0.794 0.299 0.587 1
Si1 0.229 0.291 0.425 1
Si2 0.412 0.018 0.813 1
Si3 0.446 0.744 0.885 1
Si4 0.549 0.813 0.084 1
Si5 0.569 0.115 0.160 1
Si6 0.607 0.608 0.193 1
Si7 0.696 0.974 0.413 1
Si8 0.717 0.453 0.402 1
Si9 0.757 0.756 0.512 1
Si10 0.848 0.877 0.706 1
Si11 0.879 0.624 0.773 1
Si12 0.926 0.227 0.868 1
```

Energy of formation from the pure elements: 0.150 eV/atom

Record 9
Density functional theory data (GGA-PBE) for Mg3Si4 after structural relaxation.

The structure in CIF format:
```
data_Mg3Si4
_chemical_formula_sum 'Mg6 Si8'
_space_group_name_H-M_alt 'P 1'
_space_group_IT_number 1
_cell_length_a 5.103
_cell_length_b 6.217
_cell_length_c 8.602
_cell_angle_alpha 110.44
_cell_angle_beta 92.86
_cell_angle_gamma 93.95
loop_
_space_group_symop_operation_xyz
'x,y,z'
loop_
_atom_site_label
_atom_site_fract_x
_atom_site_fract_y
_atom_site_fract_z
_atom_site_occupancy
Mg1 0.000 0.000 0.000 1
Mg2 0.055 0.464 0.919 1
Mg3 0.232 0.046 0.575 1
Mg4 0.538 0.291 0.064 1
Mg5 0.637 0.693 0.390 1
Mg6 0.742 0.199 0.405 1
Si1 0.059 0.431 0.229 1
Si2 0.137 0.822 0.238 1
Si3 0.255 0.437 0.495 1
Si4 0.402 0.839 0.815 1
Si5 0.552 0.480 0.808 1
Si6 0.566 0.811 0.105 1
Si7 0.751 0.035 0.704 1
Si8 0.932 0.656 0.674 1
```

Energy of formation from the pure elements: 0.158 eV/atom

Record 10
Density functional theory data (GGA-PBE) for Mg4Si3 after structural relaxation.

The structure in CIF format:
```
data_Mg4Si3
_chemical_formula_sum 'Mg8 Si6'
_space_group_name_H-M_alt 'P 1'
_space_group_IT_number 1
_cell_length_a 5.015
_cell_length_b 7.258
_cell_length_c 7.771
_cell_angle_alpha 97.52
_cell_angle_beta 97.41
_cell_angle_gamma 105.38
loop_
_space_group_symop_operation_xyz
'x,y,z'
loop_
_atom_site_label
_atom_site_fract_x
_atom_site_fract_y
_atom_site_fract_z
_atom_site_occupancy
Mg1 0.000 0.000 0.000 1
Mg2 0.051 0.875 0.600 1
Mg3 0.190 0.319 0.782 1
Mg4 0.289 0.218 0.401 1
Mg5 0.383 0.744 0.883 1
Mg6 0.449 0.651 0.494 1
Mg7 0.626 0.237 0.094 1
Mg8 0.802 0.662 0.197 1
Si1 0.208 0.426 0.139 1
Si2 0.367 0.866 0.218 1
Si3 0.595 0.086 0.731 1
Si4 0.745 0.080 0.444 1
Si5 0.767 0.545 0.792 1
Si6 0.897 0.465 0.503 1
```

Energy of formation from the pure elements: 0.114 eV/atom

Record 11
Density functional theory data (GGA-PBE) for Mg3Si4 after structural relaxation.

The structure in CIF format:
```
data_Mg3Si4
_chemical_formula_sum 'Mg6 Si8'
_space_group_name_H-M_alt 'P 1'
_space_group_IT_number 1
_cell_length_a 5.353
_cell_length_b 7.012
_cell_length_c 7.625
_cell_angle_alpha 117.27
_cell_angle_beta 90.26
_cell_angle_gamma 90.34
loop_
_space_group_symop_operation_xyz
'x,y,z'
loop_
_atom_site_label
_atom_site_fract_x
_atom_site_fract_y
_atom_site_fract_z
_atom_site_occupancy
Mg1 0.000 0.000 0.000 1
Mg2 0.117 0.701 0.174 1
Mg3 0.284 0.247 0.779 1
Mg4 0.494 0.734 0.494 1
Mg5 0.619 0.027 0.319 1
Mg6 0.785 0.484 0.713 1
Si1 0.009 0.749 0.560 1
Si2 0.113 0.161 0.399 1
Si3 0.279 0.647 0.777 1
Si4 0.371 0.318 0.207 1
Si5 0.512 0.982 0.931 1
Si6 0.612 0.574 0.091 1
Si7 0.779 0.084 0.716 1
Si8 0.844 0.412 0.291 1
```

Energy of formation from the pure elements: 0.152 eV/atom

Record 12
Density functional theory data (GGA-PBE) for Mg4Si3 after structural relaxation.

The structure in CIF format:
```
data_Mg4Si3
_chemical_formula_sum 'Mg8 Si6'
_space_group_name_H-M_alt 'P 1'
_space_group_IT_number 1
_cell_length_a 5.261
_cell_length_b 6.436
_cell_length_c 8.783
_cell_angle_alpha 102.28
_cell_angle_beta 105.29
_cell_angle_gamma 100.48
loop_
_space_group_symop_operation_xyz
'x,y,z'
loop_
_atom_site_label
_atom_site_fract_x
_atom_site_fract_y
_atom_site_fract_z
_atom_site_occupancy
Mg1 0.000 0.000 0.000 1
Mg2 0.016 0.895 0.304 1
Mg3 0.084 0.497 0.989 1
Mg4 0.287 0.367 0.672 1
Mg5 0.368 0.889 0.765 1
Mg6 0.540 0.714 0.429 1
Mg7 0.630 0.337 0.148 1
Mg8 0.648 0.224 0.462 1
Si1 0.029 0.589 0.461 1
Si2 0.176 0.316 0.288 1
Si3 0.469 0.906 0.157 1
Si4 0.610 0.638 0.976 1
Si5 0.829 0.628 0.716 1
Si6 0.865 0.059 0.709 1
```

Energy of formation from the pure elements: 0.048 eV/atom

Copy entry 11 word for word.
Density functional theory data (GGA-PBE) for Mg3Si4 after structural relaxation.

The structure in CIF format:
```
data_Mg3Si4
_chemical_formula_sum 'Mg6 Si8'
_space_group_name_H-M_alt 'P 1'
_space_group_IT_number 1
_cell_length_a 5.353
_cell_length_b 7.012
_cell_length_c 7.625
_cell_angle_alpha 117.27
_cell_angle_beta 90.26
_cell_angle_gamma 90.34
loop_
_space_group_symop_operation_xyz
'x,y,z'
loop_
_atom_site_label
_atom_site_fract_x
_atom_site_fract_y
_atom_site_fract_z
_atom_site_occupancy
Mg1 0.000 0.000 0.000 1
Mg2 0.117 0.701 0.174 1
Mg3 0.284 0.247 0.779 1
Mg4 0.494 0.734 0.494 1
Mg5 0.619 0.027 0.319 1
Mg6 0.785 0.484 0.713 1
Si1 0.009 0.749 0.560 1
Si2 0.113 0.161 0.399 1
Si3 0.279 0.647 0.777 1
Si4 0.371 0.318 0.207 1
Si5 0.512 0.982 0.931 1
Si6 0.612 0.574 0.091 1
Si7 0.779 0.084 0.716 1
Si8 0.844 0.412 0.291 1
```

Energy of formation from the pure elements: 0.152 eV/atom

Copy entry 8 word for word.
Density functional theory data (GGA-PBE) for Mg5Si6 after structural relaxation.

The structure in CIF format:
```
data_Mg5Si6
_chemical_formula_sum 'Mg10 Si12'
_space_group_name_H-M_alt 'P 1'
_space_group_IT_number 1
_cell_length_a 4.074
_cell_length_b 8.095
_cell_length_c 12.825
_cell_angle_alpha 105.36
_cell_angle_beta 99.12
_cell_angle_gamma 90.65
loop_
_space_group_symop_operation_xyz
'x,y,z'
loop_
_atom_site_label
_atom_site_fract_x
_atom_site_fract_y
_atom_site_fract_z
_atom_site_occupancy
Mg1 0.000 0.000 0.000 1
Mg2 0.005 0.581 0.007 1
Mg3 0.103 0.353 0.211 1
Mg4 0.122 0.984 0.260 1
Mg5 0.183 0.698 0.359 1
Mg6 0.285 0.013 0.575 1
Mg7 0.303 0.599 0.603 1
Mg8 0.385 0.381 0.782 1
Mg9 0.509 0.307 0.018 1
Mg10 0.794 0.299 0.587 1
Si1 0.229 0.291 0.425 1
Si2 0.412 0.018 0.813 1
Si3 0.446 0.744 0.885 1
Si4 0.549 0.813 0.084 1
Si5 0.569 0.115 0.160 1
Si6 0.607 0.608 0.193 1
Si7 0.696 0.974 0.413 1
Si8 0.717 0.453 0.402 1
Si9 0.757 0.756 0.512 1
Si10 0.848 0.877 0.706 1
Si11 0.879 0.624 0.773 1
Si12 0.926 0.227 0.868 1
```

Energy of formation from the pure elements: 0.150 eV/atom

Repeat the twelfth record exactly.
Density functional theory data (GGA-PBE) for Mg4Si3 after structural relaxation.

The structure in CIF format:
```
data_Mg4Si3
_chemical_formula_sum 'Mg8 Si6'
_space_group_name_H-M_alt 'P 1'
_space_group_IT_number 1
_cell_length_a 5.261
_cell_length_b 6.436
_cell_length_c 8.783
_cell_angle_alpha 102.28
_cell_angle_beta 105.29
_cell_angle_gamma 100.48
loop_
_space_group_symop_operation_xyz
'x,y,z'
loop_
_atom_site_label
_atom_site_fract_x
_atom_site_fract_y
_atom_site_fract_z
_atom_site_occupancy
Mg1 0.000 0.000 0.000 1
Mg2 0.016 0.895 0.304 1
Mg3 0.084 0.497 0.989 1
Mg4 0.287 0.367 0.672 1
Mg5 0.368 0.889 0.765 1
Mg6 0.540 0.714 0.429 1
Mg7 0.630 0.337 0.148 1
Mg8 0.648 0.224 0.462 1
Si1 0.029 0.589 0.461 1
Si2 0.176 0.316 0.288 1
Si3 0.469 0.906 0.157 1
Si4 0.610 0.638 0.976 1
Si5 0.829 0.628 0.716 1
Si6 0.865 0.059 0.709 1
```

Energy of formation from the pure elements: 0.048 eV/atom

> The highest energy of formation from the pure elements belongs to which entry?

Mg4Si7